The following is a DFT calculation (PBE+U) of an optimized crystal structure of ZrMo2O8.

Calculated values
As for the energy above the most stable polymorph in this dataset: 0.009 eV per atom. For the energy, the calculation gives -509.7 eV/cell. As for the symmetry: P-31c (163). For the energy relative to the elements, the calculation gives -2.46 eV/atom.

a b c (Å): 10.3594 10.3594 12.0756
angles (deg): 90.00 90.00 120.00
With the nearest neighbours (Å) after each atom.
Fractional coordinates of all 66 atoms:
Zr 0.0000 0.0000 0.0000  6 O 2.11
Zr 0.0000 0.0000 0.5000  6 O 2.11
Zr 0.3333 0.6667 0.0147  6 O 2.11
Zr 0.3333 0.6667 0.4853  6 O 2.11
Zr 0.6667 0.3333 0.5147  6 O 2.11
Zr 0.6667 0.3333 0.9853  6 O 2.11
Mo 0.0082 0.3376 0.8535  4 O 1.73-1.82
Mo 0.0082 0.6707 0.6465  4 O 1.73-1.82
Mo 0.3293 0.3376 0.6465  4 O 1.73-1.82
Mo 0.3293 0.9918 0.8535  4 O 1.73-1.82
Mo 0.3376 0.0082 0.3535  4 O 1.73-1.82
Mo 0.3376 0.3293 0.1465  4 O 1.73-1.82
Mo 0.6624 0.6707 0.8535  4 O 1.73-1.82
Mo 0.6624 0.9918 0.6465  4 O 1.73-1.82
Mo 0.6707 0.0082 0.1465  4 O 1.73-1.82
Mo 0.6707 0.6624 0.3535  4 O 1.73-1.82
Mo 0.9918 0.3293 0.3535  4 O 1.73-1.82
Mo 0.9918 0.6624 0.1465  4 O 1.73-1.82
O 0.0138 0.1755 0.4028  1 Mo 1.82
O 0.0138 0.8384 0.0972  1 Mo 1.82
O 0.0263 0.3459 0.7106  1 Mo 1.73
O 0.0263 0.6804 0.7894  1 Mo 1.73
O 0.1592 0.5035 0.3883  1 Mo 1.82
O 0.1592 0.6557 0.1117  1 Mo 1.82
O 0.1616 0.1755 0.0972  1 Mo 1.82
O 0.1616 0.9862 0.4028  1 Mo 1.82
O 0.1706 0.4953 0.9151  1 Mo 1.82
O 0.1706 0.6753 0.5849  1 Mo 1.82
O 0.1755 0.0138 0.9028  1 Mo 1.82
O 0.1755 0.1616 0.5972  1 Mo 1.82
O 0.3196 0.3459 0.7894  1 Mo 1.73
O 0.3196 0.9737 0.7106  1 Mo 1.73
O 0.3247 0.4953 0.5849  1 Mo 1.82
O 0.3247 0.8294 0.9151  1 Mo 1.82
O 0.3443 0.5035 0.1117  1 Mo 1.82
O 0.3443 0.8408 0.3883  1 Mo 1.82
O 0.3459 0.0263 0.2106  1 Mo 1.73
O 0.3459 0.3196 0.2894  1 Mo 1.73
O 0.4953 0.1706 0.4151  1 Mo 1.82
O 0.4953 0.3247 0.0849  1 Mo 1.82
O 0.4965 0.6557 0.3883  1 Mo 1.82
O 0.4965 0.8408 0.1117  1 Mo 1.82
O 0.5035 0.1592 0.8883  1 Mo 1.82
O 0.5035 0.3443 0.6117  1 Mo 1.82
O 0.5047 0.6753 0.9151  1 Mo 1.82
O 0.5047 0.8294 0.5849  1 Mo 1.82
O 0.6541 0.6804 0.7106  1 Mo 1.73
O 0.6541 0.9737 0.7894  1 Mo 1.73
O 0.6557 0.1592 0.6117  1 Mo 1.82
O 0.6557 0.4965 0.8883  1 Mo 1.82
O 0.6753 0.1706 0.0849  1 Mo 1.82
O 0.6753 0.5047 0.4151  1 Mo 1.82
O 0.6804 0.0263 0.2894  1 Mo 1.73
O 0.6804 0.6541 0.2106  1 Mo 1.73
O 0.8245 0.8384 0.4028  1 Mo 1.82
O 0.8245 0.9862 0.0972  1 Mo 1.82
O 0.8294 0.3247 0.4151  1 Mo 1.82
O 0.8294 0.5047 0.0849  1 Mo 1.82
O 0.8384 0.0138 0.5972  1 Mo 1.82
O 0.8384 0.8245 0.9028  1 Mo 1.82
O 0.8408 0.3443 0.8883  1 Mo 1.82
O 0.8408 0.4965 0.6117  1 Mo 1.82
O 0.9737 0.3196 0.2106  1 Mo 1.73
O 0.9737 0.6541 0.2894  1 Mo 1.73
O 0.9862 0.1616 0.9028  1 Mo 1.82
O 0.9862 0.8245 0.5972  1 Mo 1.82